Entry 1:
First-principles (PBE) data for AgH8C2S2N4Cl after structural relaxation, as listed in the Materials Project database.

abc: 6.129 8.556 37.244
angles: 90.00 93.07 90.00
Fractional coordinates of all 144 atoms:
Ag 0.101 0.247 0.342
Ag 0.101 0.253 0.842
Ag 0.217 0.688 0.091
Ag 0.217 0.812 0.591
Ag 0.783 0.188 0.409
Ag 0.783 0.312 0.909
Ag 0.899 0.747 0.158
Ag 0.899 0.753 0.658
H 0.004 0.210 0.500
H 0.004 0.290 0.000
H 0.034 0.524 0.542
H 0.034 0.976 0.042
H 0.100 0.532 0.283
H 0.100 0.968 0.783
H 0.149 0.573 0.825
H 0.149 0.927 0.325
H 0.173 0.037 0.206
H 0.173 0.463 0.706
H 0.235 0.539 0.468
H 0.235 0.961 0.968
H 0.255 0.130 0.622
H 0.255 0.370 0.122
H 0.277 0.244 0.491
H 0.277 0.256 0.991
H 0.300 0.750 0.322
H 0.300 0.750 0.822
H 0.370 0.223 0.151
H 0.370 0.277 0.651
H 0.380 0.199 0.287
H 0.380 0.301 0.787
H 0.385 0.501 0.376
H 0.385 0.999 0.876
H 0.439 0.129 0.245
H 0.439 0.371 0.745
H 0.446 0.654 0.973
H 0.446 0.846 0.473
H 0.483 0.527 0.421
H 0.483 0.973 0.921
H 0.491 0.552 0.933
H 0.491 0.948 0.433
H 0.509 0.052 0.567
H 0.509 0.448 0.067
H 0.517 0.027 0.079
H 0.517 0.473 0.579
H 0.554 0.154 0.527
H 0.554 0.346 0.027
H 0.561 0.629 0.255
H 0.561 0.871 0.755
H 0.615 0.001 0.124
H 0.615 0.499 0.624
H 0.620 0.699 0.213
H 0.620 0.801 0.713
H 0.630 0.723 0.349
H 0.630 0.777 0.849
H 0.700 0.250 0.178
H 0.700 0.250 0.678
H 0.723 0.744 0.009
H 0.723 0.756 0.509
H 0.745 0.630 0.878
H 0.745 0.870 0.378
H 0.765 0.039 0.032
H 0.765 0.461 0.532
H 0.827 0.537 0.294
H 0.827 0.963 0.794
H 0.851 0.073 0.675
H 0.851 0.427 0.175
H 0.900 0.032 0.217
H 0.900 0.468 0.717
H 0.966 0.024 0.958
H 0.966 0.476 0.458
H 0.996 0.710 0.000
H 0.996 0.790 0.500
C 0.116 0.117 0.257
C 0.116 0.383 0.757
C 0.155 0.014 0.914
C 0.155 0.486 0.414
C 0.232 0.127 0.538
C 0.232 0.373 0.038
C 0.445 0.580 0.853
C 0.445 0.920 0.353
C 0.555 0.080 0.647
C 0.555 0.420 0.147
C 0.768 0.627 0.962
C 0.768 0.873 0.462
C 0.845 0.514 0.586
C 0.845 0.986 0.086
C 0.884 0.617 0.243
C 0.884 0.883 0.743
S 0.041 0.057 0.566
S 0.041 0.443 0.066
S 0.061 0.560 0.616
S 0.061 0.940 0.116
S 0.080 0.637 0.213
S 0.080 0.863 0.713
S 0.422 0.102 0.373
S 0.422 0.398 0.873
S 0.578 0.602 0.127
S 0.578 0.898 0.627
S 0.920 0.137 0.287
S 0.920 0.363 0.787
S 0.939 0.060 0.884
S 0.939 0.440 0.384
S 0.959 0.557 0.934
S 0.959 0.943 0.434
N 0.057 0.066 0.223
N 0.057 0.434 0.723
N 0.118 0.502 0.449
N 0.118 0.998 0.949
N 0.166 0.202 0.508
N 0.166 0.298 0.008
N 0.282 0.639 0.832
N 0.282 0.861 0.332
N 0.328 0.148 0.264
N 0.328 0.352 0.764
N 0.354 0.512 0.403
N 0.354 0.988 0.903
N 0.374 0.166 0.641
N 0.374 0.334 0.141
N 0.448 0.114 0.545
N 0.448 0.386 0.045
N 0.552 0.614 0.955
N 0.552 0.886 0.455
N 0.626 0.666 0.859
N 0.626 0.834 0.359
N 0.646 0.012 0.097
N 0.646 0.488 0.597
N 0.672 0.648 0.236
N 0.672 0.852 0.736
N 0.718 0.139 0.668
N 0.718 0.361 0.168
N 0.834 0.702 0.992
N 0.834 0.798 0.492
N 0.882 0.002 0.051
N 0.882 0.498 0.551
N 0.943 0.566 0.277
N 0.943 0.934 0.777
Cl 0.342 0.672 0.525
Cl 0.342 0.828 0.025
Cl 0.448 0.509 0.316
Cl 0.448 0.991 0.816
Cl 0.552 0.009 0.184
Cl 0.552 0.491 0.684
Cl 0.658 0.172 0.975
Cl 0.658 0.328 0.475

ΔE_f ... -36.1 kJ per mole of atoms
Density ... 2.013 Mg/m³
Magnetic moment ... 0.0001 μB per atom
Total energy ... -5.39 eV per atom

Entry 2:
First-principles (PBE) data for AgH4CSN2Cl after structural relaxation, as listed in the Materials Project database.

abc: 7.505 16.941 8.603
angles: 90.00 90.00 90.00
Fractional coordinates of all 80 atoms:
Ag 0.160 0.207 0.170
Ag 0.160 0.293 0.670
Ag 0.340 0.707 0.170
Ag 0.340 0.793 0.670
Ag 0.660 0.207 0.330
Ag 0.660 0.293 0.830
Ag 0.840 0.707 0.330
Ag 0.840 0.793 0.830
H 0.109 0.547 0.648
H 0.109 0.953 0.148
H 0.133 0.505 0.894
H 0.133 0.995 0.394
H 0.147 0.645 0.599
H 0.147 0.855 0.099
H 0.160 0.573 0.049
H 0.160 0.927 0.549
H 0.340 0.073 0.049
H 0.340 0.427 0.549
H 0.353 0.145 0.599
H 0.353 0.355 0.099
H 0.367 0.005 0.894
H 0.367 0.495 0.394
H 0.391 0.047 0.648
H 0.391 0.453 0.148
H 0.609 0.547 0.852
H 0.609 0.953 0.352
H 0.633 0.505 0.606
H 0.633 0.995 0.106
H 0.647 0.645 0.901
H 0.647 0.855 0.401
H 0.660 0.573 0.451
H 0.660 0.927 0.951
H 0.840 0.073 0.451
H 0.840 0.427 0.951
H 0.853 0.145 0.901
H 0.853 0.355 0.401
H 0.867 0.005 0.606
H 0.867 0.495 0.106
H 0.891 0.047 0.852
H 0.891 0.453 0.352
C 0.168 0.619 0.830
C 0.168 0.881 0.330
C 0.332 0.119 0.830
C 0.332 0.381 0.330
C 0.668 0.619 0.670
C 0.668 0.881 0.170
C 0.832 0.119 0.670
C 0.832 0.381 0.170
S 0.204 0.716 0.891
S 0.204 0.784 0.391
S 0.296 0.216 0.891
S 0.296 0.284 0.391
S 0.704 0.716 0.609
S 0.704 0.784 0.109
S 0.796 0.216 0.609
S 0.796 0.284 0.109
N 0.153 0.602 0.679
N 0.153 0.898 0.179
N 0.154 0.561 0.933
N 0.154 0.939 0.433
N 0.346 0.061 0.933
N 0.346 0.439 0.433
N 0.347 0.102 0.679
N 0.347 0.398 0.179
N 0.653 0.602 0.821
N 0.653 0.898 0.321
N 0.654 0.561 0.567
N 0.654 0.939 0.067
N 0.846 0.061 0.567
N 0.846 0.439 0.067
N 0.847 0.102 0.821
N 0.847 0.398 0.321
Cl 0.027 0.582 0.301
Cl 0.027 0.918 0.801
Cl 0.473 0.082 0.301
Cl 0.473 0.418 0.801
Cl 0.527 0.582 0.199
Cl 0.527 0.918 0.699
Cl 0.973 0.082 0.199
Cl 0.973 0.418 0.699

ΔE_f ... -40.0 kJ per mole of atoms
Density ... 2.665 Mg/m³
Magnetic moment ... 0.0000 μB per atom
Total energy ... -5.13 eV per atom

Question: Which formula does entry 1 have?
Answer: AgH8C2S2N4Cl

Question: Which value of ΔE_f does entry 2 give?
Answer: -40.0 kJ per mole of atoms